1.
# La3Ru

La3Ru after structural relaxation (PBE, Materials Project).

Properties
The space group is No. 62. As for the energy of formation from the pure elements: -0.942 eV per formula unit.

CIF file:
```
data_La3Ru
_chemical_formula_sum 'La12 Ru4'
_cell_length_a 6.605
_cell_length_b 7.389
_cell_length_c 10.142
_cell_angle_alpha 90.00
_cell_angle_beta 90.00
_cell_angle_gamma 90.00
_symmetry_space_group_name_H-M 'P 1'
_symmetry_Int_Tables_number 1
loop_
_symmetry_equiv_pos_as_xyz
'x,y,z'
loop_
_atom_site_label
_atom_site_type_symbol
_atom_site_fract_x
_atom_site_fract_y
_atom_site_fract_z
_atom_site_occupancy
La1 La 0.329 0.668 0.069 1
La2 La 0.171 0.168 0.431 1
La3 La 0.671 0.332 0.569 1
La4 La 0.829 0.832 0.931 1
La5 La 0.671 0.332 0.931 1
La6 La 0.829 0.832 0.569 1
La7 La 0.329 0.668 0.431 1
La8 La 0.171 0.168 0.069 1
La9 La 0.850 0.551 0.250 1
La10 La 0.650 0.051 0.250 1
La11 La 0.150 0.449 0.750 1
La12 La 0.350 0.949 0.750 1
Ru1 Ru 0.055 0.873 0.250 1
Ru2 Ru 0.445 0.373 0.250 1
Ru3 Ru 0.945 0.127 0.750 1
Ru4 Ru 0.555 0.627 0.750 1
```

2.
# La3Ru

La3Ru after structural relaxation (PBE, Materials Project).

Properties
The space group is No. 139. As for the energy of formation from the pure elements: 0.522 eV per formula unit.

CIF file:
```
data_La3Ru
_chemical_formula_sum 'La3 Ru1'
_cell_length_a 6.389
_cell_length_b 6.389
_cell_length_c 6.389
_cell_angle_alpha 139.22
_cell_angle_beta 139.22
_cell_angle_gamma 59.03
_symmetry_space_group_name_H-M 'P 1'
_symmetry_Int_Tables_number 1
loop_
_symmetry_equiv_pos_as_xyz
'x,y,z'
loop_
_atom_site_label
_atom_site_type_symbol
_atom_site_fract_x
_atom_site_fract_y
_atom_site_fract_z
_atom_site_occupancy
La1 La 0.750 0.250 0.500 1
La2 La 0.250 0.750 0.500 1
La3 La 0.500 0.500 0.000 1
Ru1 Ru 0.000 0.000 0.000 1
```

3.
# LaSi3Ru

LaSi3Ru after structural relaxation (PBE, Materials Project).

Properties
The space group is No. 107. As for the energy of formation from the pure elements: -3.602 eV per formula unit.

CIF file:
```
data_LaSi3Ru
_chemical_formula_sum 'La1 Si3 Ru1'
_cell_length_a 5.828
_cell_length_b 5.828
_cell_length_c 5.828
_cell_angle_alpha 137.07
_cell_angle_beta 137.07
_cell_angle_gamma 62.33
_symmetry_space_group_name_H-M 'P 1'
_symmetry_Int_Tables_number 1
loop_
_symmetry_equiv_pos_as_xyz
'x,y,z'
loop_
_atom_site_label
_atom_site_type_symbol
_atom_site_fract_x
_atom_site_fract_y
_atom_site_fract_z
_atom_site_occupancy
La1 La 0.000 0.000 0.000 1
Si1 Si 0.416 0.416 0.000 1
Si2 Si 0.261 0.761 0.500 1
Si3 Si 0.761 0.261 0.500 1
Ru1 Ru 0.655 0.655 0.000 1
```

4.
# LaSiRu

LaSiRu after structural relaxation (PBE, Materials Project).

Properties
The space group is No. 129. As for the energy of formation from the pure elements: -2.409 eV per formula unit.

CIF file:
```
data_LaSiRu
_chemical_formula_sum 'La2 Si2 Ru2'
_cell_length_a 4.260
_cell_length_b 4.260
_cell_length_c 7.167
_cell_angle_alpha 90.00
_cell_angle_beta 90.00
_cell_angle_gamma 90.00
_symmetry_space_group_name_H-M 'P 1'
_symmetry_Int_Tables_number 1
loop_
_symmetry_equiv_pos_as_xyz
'x,y,z'
loop_
_atom_site_label
_atom_site_type_symbol
_atom_site_fract_x
_atom_site_fract_y
_atom_site_fract_z
_atom_site_occupancy
La1 La 0.000 0.500 0.316 1
La2 La 0.500 0.000 0.684 1
Si1 Si 0.000 0.500 0.833 1
Si2 Si 0.500 0.000 0.167 1
Ru1 Ru 0.000 0.000 0.000 1
Ru2 Ru 0.500 0.500 0.000 1
```

5.
# La3Sn13Ru4

La3Sn13Ru4 after structural relaxation (PBE, Materials Project).

Properties
The space group is No. 223. As for the energy of formation from the pure elements: -9.048 eV per formula unit.

CIF file:
```
data_La3Sn13Ru4
_chemical_formula_sum 'La6 Sn26 Ru8'
_cell_length_a 9.878
_cell_length_b 9.878
_cell_length_c 9.878
_cell_angle_alpha 90.00
_cell_angle_beta 90.00
_cell_angle_gamma 90.00
_symmetry_space_group_name_H-M 'P 1'
_symmetry_Int_Tables_number 1
loop_
_symmetry_equiv_pos_as_xyz
'x,y,z'
loop_
_atom_site_label
_atom_site_type_symbol
_atom_site_fract_x
_atom_site_fract_y
_atom_site_fract_z
_atom_site_occupancy
La1 La 0.500 0.250 0.000 1
La2 La 0.750 0.000 0.500 1
La3 La 0.000 0.500 0.750 1
La4 La 0.500 0.750 0.000 1
La5 La 0.250 0.000 0.500 1
La6 La 0.000 0.500 0.250 1
Sn1 Sn 0.500 0.198 0.655 1
Sn2 Sn 0.802 0.345 0.500 1
Sn3 Sn 0.655 0.500 0.802 1
Sn4 Sn 0.500 0.802 0.345 1
Sn5 Sn 0.198 0.655 0.500 1
Sn6 Sn 0.345 0.500 0.198 1
Sn7 Sn 0.802 0.655 0.500 1
Sn8 Sn 0.655 0.500 0.198 1
Sn9 Sn 0.198 0.345 0.500 1
Sn10 Sn 0.345 0.500 0.802 1
Sn11 Sn 0.500 0.802 0.655 1
Sn12 Sn 0.500 0.198 0.345 1
Sn13 Sn 0.000 0.155 0.698 1
Sn14 Sn 0.302 0.000 0.845 1
Sn15 Sn 0.155 0.302 0.000 1
Sn16 Sn 0.000 0.845 0.302 1
Sn17 Sn 0.698 0.000 0.155 1
Sn18 Sn 0.845 0.698 0.000 1
Sn19 Sn 0.302 0.000 0.155 1
Sn20 Sn 0.155 0.698 0.000 1
Sn21 Sn 0.698 0.000 0.845 1
Sn22 Sn 0.845 0.302 0.000 1
Sn23 Sn 0.000 0.155 0.302 1
Sn24 Sn 0.000 0.845 0.698 1
Sn25 Sn 0.500 0.500 0.500 1
Sn26 Sn 0.000 0.000 0.000 1
Ru1 Ru 0.750 0.250 0.750 1
Ru2 Ru 0.250 0.750 0.250 1
Ru3 Ru 0.750 0.750 0.250 1
Ru4 Ru 0.250 0.250 0.750 1
Ru5 Ru 0.250 0.750 0.750 1
Ru6 Ru 0.750 0.250 0.250 1
Ru7 Ru 0.250 0.250 0.250 1
Ru8 Ru 0.750 0.750 0.750 1
```

6.
# LaTh3Ru8

LaTh3Ru8 after structural relaxation (PBE, Materials Project).

Properties
The space group is No. 160. As for the energy of formation from the pure elements: -3.321 eV per formula unit.

CIF file:
```
data_LaTh3Ru8
_chemical_formula_sum 'La1 Th3 Ru8'
_cell_length_a 9.393
_cell_length_b 9.393
_cell_length_c 9.393
_cell_angle_alpha 33.79
_cell_angle_beta 33.79
_cell_angle_gamma 33.79
_symmetry_space_group_name_H-M 'P 1'
_symmetry_Int_Tables_number 1
loop_
_symmetry_equiv_pos_as_xyz
'x,y,z'
loop_
_atom_site_label
_atom_site_type_symbol
_atom_site_fract_x
_atom_site_fract_y
_atom_site_fract_z
_atom_site_occupancy
La1 La 0.125 0.125 0.125 1
Th1 Th 0.625 0.625 0.625 1
Th2 Th 0.001 0.001 0.001 1
Th3 Th 0.499 0.499 0.499 1
Ru1 Ru 0.562 0.562 0.061 1
Ru2 Ru 0.063 0.063 0.565 1
Ru3 Ru 0.562 0.061 0.562 1
Ru4 Ru 0.063 0.565 0.063 1
Ru5 Ru 0.813 0.813 0.813 1
Ru6 Ru 0.313 0.313 0.313 1
Ru7 Ru 0.061 0.562 0.562 1
Ru8 Ru 0.565 0.063 0.063 1
```

7.
# LaS

LaS after structural relaxation (PBE, Materials Project).

Properties
The space group is No. 221. For the energy above the most stable polymorph in this dataset, the calculation gives 0.639 eV per formula unit. As for the energy of formation from the pure elements: -4.190 eV per formula unit.

CIF file:
```
data_LaS
_chemical_formula_sum 'La1 S1'
_cell_length_a 3.575
_cell_length_b 3.575
_cell_length_c 3.575
_cell_angle_alpha 90.00
_cell_angle_beta 90.00
_cell_angle_gamma 90.00
_symmetry_space_group_name_H-M 'P 1'
_symmetry_Int_Tables_number 1
loop_
_symmetry_equiv_pos_as_xyz
'x,y,z'
loop_
_atom_site_label
_atom_site_type_symbol
_atom_site_fract_x
_atom_site_fract_y
_atom_site_fract_z
_atom_site_occupancy
La1 La 0.000 0.000 0.000 1
S1 S 0.500 0.500 0.500 1
```

8.
# LaS

LaS after structural relaxation (PBE, Materials Project).

Properties
The space group is No. 64. For the energy above the most stable polymorph in this dataset, the calculation gives 0.560 eV per formula unit. As for the energy of formation from the pure elements: -4.270 eV per formula unit.

CIF file:
```
data_LaS
_chemical_formula_sum 'La4 S4'
_cell_length_a 4.080
_cell_length_b 4.080
_cell_length_c 18.016
_cell_angle_alpha 90.00
_cell_angle_beta 90.00
_cell_angle_gamma 90.06
_symmetry_space_group_name_H-M 'P 1'
_symmetry_Int_Tables_number 1
loop_
_symmetry_equiv_pos_as_xyz
'x,y,z'
loop_
_atom_site_label
_atom_site_type_symbol
_atom_site_fract_x
_atom_site_fract_y
_atom_site_fract_z
_atom_site_occupancy
La1 La 0.824 0.176 0.179 1
La2 La 0.176 0.824 0.821 1
La3 La 0.676 0.324 0.679 1
La4 La 0.324 0.676 0.321 1
S1 S 0.325 0.675 0.159 1
S2 S 0.675 0.325 0.841 1
S3 S 0.175 0.825 0.659 1
S4 S 0.825 0.175 0.341 1
```

9.
# LaS

LaS after structural relaxation (PBE, Materials Project).

Properties
The space group is No. 129. For the energy above the most stable polymorph in this dataset, the calculation gives 0.564 eV per formula unit. As for the energy of formation from the pure elements: -4.265 eV per formula unit.

CIF file:
```
data_LaS
_chemical_formula_sum 'La2 S2'
_cell_length_a 4.076
_cell_length_b 4.076
_cell_length_c 10.600
_cell_angle_alpha 90.00
_cell_angle_beta 90.00
_cell_angle_gamma 90.00
_symmetry_space_group_name_H-M 'P 1'
_symmetry_Int_Tables_number 1
loop_
_symmetry_equiv_pos_as_xyz
'x,y,z'
loop_
_atom_site_label
_atom_site_type_symbol
_atom_site_fract_x
_atom_site_fract_y
_atom_site_fract_z
_atom_site_occupancy
La1 La 0.000 0.500 0.622 1
La2 La 0.500 0.000 0.378 1
S1 S 0.500 0.000 0.655 1
S2 S 0.000 0.500 0.345 1
```